Density functional theory data (PBE) for an optimized crystal structure of CaRhF6.

POSCAR file:
```
CaRhF6
1.0
2.7282 1.5751 4.9087
-2.7282 1.5751 4.9087
0.0000 -3.1503 4.9087
Ca Rh F
1 1 6
direct
0.0000 0.0000 0.0000
0.5000 0.5000 0.5000
0.1445 0.7231 0.4010
0.2769 0.5990 0.8555
0.4010 0.1445 0.7231
0.5990 0.8555 0.2769
0.7231 0.4010 0.1445
0.8555 0.2769 0.5990
```

Crystal system: trigonal
Calculated density: 3.37 Mg/m³
Calculated total energy: -5.0038 eV/atom
Space group: R-3

=====

Density functional theory data (PBE) for an optimized crystal structure of SmP2Ru2.

POSCAR file:
```
SmP2Ru2
1.0
-2.0364 2.0364 4.8986
2.0364 -2.0364 4.8986
2.0364 2.0364 -4.8986
Sm P Ru
1 2 2
direct
0.0000 0.0000 0.0000
0.3721 0.3721 0.0000
0.6279 0.6279 0.0000
0.2500 0.7500 0.5000
0.7500 0.2500 0.5000
```

Crystal system: tetragonal
Calculated density: 8.47 Mg/m³
Calculated total energy: -7.8476 eV/atom
Space group: I4/mmm

=====

Density functional theory data (PBE) for an optimized crystal structure of ZrBi.

POSCAR file:
```
ZrBi
1.0
1.9390 -5.4582 0.0000
1.9390 5.4582 0.0000
0.0000 0.0000 14.5458
Zr Bi
6 6
direct
0.0710 0.9290 0.6101
0.0710 0.9290 0.8899
0.3923 0.6077 0.7500
0.6077 0.3923 0.2500
0.9290 0.0710 0.1101
0.9290 0.0710 0.3899
0.3221 0.6779 0.2500
0.3587 0.6413 0.5496
0.3587 0.6413 0.9504
0.6413 0.3587 0.0496
0.6413 0.3587 0.4504
0.6779 0.3221 0.7500
```

Crystal system: orthorhombic
Calculated density: 9.71 Mg/m³
Calculated total energy: -6.5927 eV/atom
Space group: Cmcm

=====

Density functional theory data (PBE) for an optimized crystal structure of VGaMo3S8.

POSCAR file:
```
VGaMo3S8
1.0
3.4377 1.9847 5.7385
-3.4377 1.9847 5.7385
0.0000 -3.9695 5.7385
V Ga Mo S
1 1 3 8
direct
0.0000 0.0000 0.0000
0.6067 0.6067 0.6067
0.0068 0.0068 0.4110
0.0068 0.4110 0.0068
0.4110 0.0068 0.0068
0.1972 0.7433 0.7433
0.2318 0.2318 0.7121
0.2318 0.7121 0.2318
0.2411 0.2411 0.2411
0.7121 0.2318 0.2318
0.7414 0.7414 0.7414
0.7433 0.1972 0.7433
0.7433 0.7433 0.1972
```

Crystal system: trigonal
Calculated density: 4.70 Mg/m³
Calculated total energy: -6.7814 eV/atom
Space group: R3m
Total magnetization: 2.000 μB/cell

=====

Density functional theory data (PBE) for an optimized crystal structure of BeCl2.

POSCAR file:
```
BeCl2
1.0
-9.8944 9.8944 9.8944
9.8944 -9.8944 9.8944
9.8944 9.8944 -9.8944
Be Cl
24 48
direct
0.1240 0.3848 0.6440
0.1240 0.6440 0.3848
0.2592 0.6152 0.7392
0.2592 0.7392 0.6152
0.2608 0.5199 0.8760
0.2608 0.8760 0.5199
0.3560 0.4801 0.7408
0.3560 0.7408 0.4801
0.3848 0.1240 0.6440
0.3848 0.6440 0.1240
0.4801 0.3560 0.7408
0.4801 0.7408 0.3560
0.5199 0.2608 0.8760
0.5199 0.8760 0.2608
0.6152 0.2592 0.7392
0.6152 0.7392 0.2592
0.6440 0.1240 0.3848
0.6440 0.3848 0.1240
0.7392 0.2592 0.6152
0.7392 0.6152 0.2592
0.7408 0.3560 0.4801
0.7408 0.4801 0.3560
0.8760 0.2608 0.5199
0.8760 0.5199 0.2608
0.0000 0.2639 0.5329
0.0000 0.5329 0.2639
0.1305 0.5000 0.6305
0.1305 0.6305 0.5000
0.1320 0.4018 0.7702
0.1320 0.7702 0.4018
0.2298 0.3618 0.6315
0.2298 0.6315 0.3618
0.2639 0.0000 0.5329
0.2639 0.5329 0.0000
0.2690 0.7361 0.7361
0.2697 0.6382 0.8680
0.2697 0.8680 0.6382
0.3618 0.2298 0.6315
0.3618 0.6315 0.2298
0.3685 0.5982 0.7303
0.3685 0.7303 0.5982
0.3695 0.5000 0.8695
0.3695 0.8695 0.5000
0.4018 0.1320 0.7702
0.4018 0.7702 0.1320
0.4671 0.4671 0.7310
0.4671 0.7310 0.4671
0.5000 0.1305 0.6305
0.5000 0.3695 0.8695
0.5000 0.6305 0.1305
0.5000 0.8695 0.3695
0.5329 0.0000 0.2639
0.5329 0.2639 0.0000
0.5982 0.3685 0.7303
0.5982 0.7303 0.3685
0.6305 0.1305 0.5000
0.6305 0.5000 0.1305
0.6315 0.2298 0.3618
0.6315 0.3618 0.2298
0.6382 0.2697 0.8680
0.6382 0.8680 0.2697
0.7303 0.3685 0.5982
0.7303 0.5982 0.3685
0.7310 0.4671 0.4671
0.7361 0.2690 0.7361
0.7361 0.7361 0.2690
0.7702 0.1320 0.4018
0.7702 0.4018 0.1320
0.8680 0.2697 0.6382
0.8680 0.6382 0.2697
0.8695 0.3695 0.5000
0.8695 0.5000 0.3695
```

Crystal system: cubic
Calculated density: 0.82 Mg/m³
Calculated total energy: -3.9009 eV/atom
Space group: I-43m
Energy above the most stable polymorph in this dataset: 6 meV/atom
Total magnetization: 0.001 μB/cell

=====

Density functional theory data (PBE) for an optimized crystal structure of NbSbF10.

POSCAR file:
```
NbSbF10
1.0
5.7934 0.0000 0.0000
1.2344 7.4517 0.0000
2.7796 -0.0517 9.5047
Nb Sb F
2 2 20
direct
0.1621 0.3794 0.2207
0.8378 0.6206 0.7793
0.4648 0.2345 0.6850
0.5352 0.7655 0.3150
0.0026 0.2210 0.1580
0.0713 0.3351 0.4144
0.1912 0.5498 0.0751
0.1935 0.4455 0.7117
0.2418 0.0832 0.6748
0.2613 0.9473 0.3365
0.3297 0.5809 0.3007
0.3855 0.2259 0.8840
0.4605 0.7108 0.5087
0.4735 0.2487 0.1679
0.5265 0.7513 0.8321
0.5395 0.2892 0.4913
0.6145 0.7741 0.1160
0.6703 0.4191 0.6993
0.7387 0.0527 0.6635
0.7582 0.9168 0.3252
0.8065 0.5545 0.2883
0.8088 0.4502 0.9249
0.9287 0.6649 0.5856
0.9974 0.7790 0.8420
```

Crystal system: triclinic
Calculated density: 3.28 Mg/m³
Calculated total energy: -5.3757 eV/atom
Space group: P-1

=====

Density functional theory data (PBE) for an optimized crystal structure of HfTe3O8.

POSCAR file:
```
HfTe3O8
1.0
-5.7602 5.7602 5.7602
5.7602 -5.7602 5.7602
5.7602 5.7602 -5.7602
Hf Te O
4 12 32
direct
0.0000 0.0000 0.5000
0.0000 0.5000 0.0000
0.5000 0.0000 0.0000
0.5000 0.5000 0.5000
0.0509 0.2500 0.3009
0.1991 0.4491 0.7500
0.2500 0.3009 0.0509
0.2500 0.8009 0.5509
0.3009 0.0509 0.2500
0.4491 0.7500 0.1991
0.5509 0.2500 0.8009
0.6991 0.9491 0.7500
0.7500 0.1991 0.4491
0.7500 0.6991 0.9491
0.8009 0.5509 0.2500
0.9491 0.7500 0.6991
0.0000 0.3338 0.5000
0.0000 0.6662 0.5000
0.0315 0.4555 0.7969
0.0445 0.0760 0.3414
0.0760 0.3414 0.0445
0.1586 0.2346 0.7031
0.1662 0.1662 0.1662
0.2031 0.9685 0.5445
0.2346 0.7031 0.1586
0.2654 0.4240 0.4685
0.2969 0.8414 0.7654
0.3338 0.5000 0.0000
0.3414 0.0445 0.0760
0.4240 0.4685 0.2654
0.4555 0.7969 0.0315
0.4685 0.2654 0.4240
0.5000 0.0000 0.3338
0.5000 0.0000 0.6662
0.5315 0.7346 0.5760
0.5445 0.2031 0.9685
0.5760 0.5315 0.7346
0.6586 0.9555 0.9240
0.6662 0.5000 0.0000
0.7031 0.1586 0.2346
0.7346 0.5760 0.5315
0.7654 0.2969 0.8414
0.7969 0.0315 0.4555
0.8338 0.8338 0.8338
0.8414 0.7654 0.2969
0.9240 0.6586 0.9555
0.9555 0.9240 0.6586
0.9685 0.5445 0.2031
```

Crystal system: cubic
Calculated density: 5.99 Mg/m³
Calculated total energy: -6.6025 eV/atom
Space group: Ia-3

=====

Density functional theory data (PBE) for an optimized crystal structure of NaSbP2S6.

POSCAR file:
```
NaSbP2S6
1.0
11.4260 0.0000 0.0000
0.0000 7.4100 0.0000
-3.8775 0.0000 11.2875
Na Sb P S
4 4 8 24
direct
0.0969 0.1114 0.3796
0.0969 0.3886 0.8796
0.9031 0.6114 0.1204
0.9031 0.8886 0.6204
0.3680 0.6607 0.6791
0.3680 0.8393 0.1791
0.6320 0.1607 0.8209
0.6320 0.3393 0.3209
0.2538 0.1216 0.7041
0.2538 0.3784 0.2041
0.2560 0.6000 0.3347
0.2560 0.9000 0.8347
0.7440 0.1000 0.1653
0.7440 0.4000 0.6653
0.7462 0.6216 0.7959
0.7462 0.8784 0.2959
0.0799 0.2100 0.6338
0.0799 0.2900 0.1338
0.1579 0.6964 0.7244
0.1579 0.8036 0.2244
0.1875 0.5058 0.4567
0.1875 0.9942 0.9567
0.3228 0.5094 0.0848
0.3228 0.9906 0.5848
0.3757 0.1935 0.3041
0.3757 0.3065 0.8041
0.4358 0.6913 0.3900
0.4358 0.8087 0.8900
0.5642 0.1913 0.1100
0.5642 0.3087 0.6100
0.6243 0.6935 0.1959
0.6243 0.8065 0.6959
0.6772 0.0094 0.4152
0.6772 0.4906 0.9152
0.8125 0.0058 0.0433
0.8125 0.4942 0.5433
0.8421 0.1964 0.7756
0.8421 0.3036 0.2756
0.9201 0.7100 0.8662
0.9201 0.7900 0.3662
```

Crystal system: monoclinic
Calculated density: 2.77 Mg/m³
Calculated total energy: -4.5355 eV/atom
Space group: P2_1/c
Energy above the most stable polymorph in this dataset: 0 meV/atom
Total magnetization: 0.000 μB/cell

=====

Density functional theory data (PBE) for an optimized crystal structure of U.

POSCAR file:
```
U
1.0
-1.7164 1.7164 1.7164
1.7164 -1.7164 1.7164
1.7164 1.7164 -1.7164
U
1
direct
0.0000 0.0000 0.0000
```

Crystal system: cubic
Calculated density: 19.54 Mg/m³
Calculated total energy: -11.0229 eV/atom
Space group: Im-3m
Energy above the most stable polymorph in this dataset: 269 meV/atom
Total magnetization: 0.000 μB/cell

=====

Density functional theory data (PBE) for an optimized crystal structure of Nd2Sn2O7.

POSCAR file:
```
Nd2Sn2O7
1.0
0.0000 5.3670 5.3670
5.3670 0.0000 5.3670
5.3670 5.3670 0.0000
Nd Sn O
4 4 14
direct
0.0000 0.0000 0.0000
0.0000 0.0000 0.5000
0.0000 0.5000 0.0000
0.5000 0.0000 0.0000
0.0000 0.5000 0.5000
0.5000 0.0000 0.5000
0.5000 0.5000 0.0000
0.5000 0.5000 0.5000
0.1334 0.1334 0.6166
0.1334 0.6166 0.1334
0.1334 0.6166 0.6166
0.3750 0.3750 0.3750
0.3834 0.3834 0.8666
0.3834 0.8666 0.3834
0.3834 0.8666 0.8666
0.6166 0.1334 0.1334
0.6166 0.1334 0.6166
0.6166 0.6166 0.1334
0.6250 0.6250 0.6250
0.8666 0.3834 0.3834
0.8666 0.3834 0.8666
0.8666 0.8666 0.3834
```

Crystal system: cubic
Calculated density: 6.85 Mg/m³
Calculated total energy: -6.7105 eV/atom
Space group: Fd-3m
Total magnetization: 0.001 μB/cell

=====

Density functional theory data (PBE) for an optimized crystal structure of HoMnB4.

POSCAR file:
```
HoMnB4
1.0
5.8936 0.0000 0.0000
0.0000 11.3965 0.0000
0.0000 0.0000 3.3940
Ho Mn B
4 4 16
direct
0.1261 0.1504 0.0000
0.3739 0.6504 0.0000
0.6261 0.3496 0.0000
0.8739 0.8496 0.0000
0.1276 0.4162 0.0000
0.3724 0.9162 0.0000
0.6276 0.0838 0.0000
0.8724 0.5838 0.0000
0.0247 0.6912 0.5000
0.1124 0.5464 0.5000
0.1378 0.9678 0.5000
0.2186 0.8161 0.5000
0.2814 0.3161 0.5000
0.3622 0.4678 0.5000
0.3876 0.0464 0.5000
0.4753 0.1912 0.5000
0.5247 0.8088 0.5000
0.6124 0.9536 0.5000
0.6378 0.5322 0.5000
0.7186 0.6839 0.5000
0.7814 0.1839 0.5000
0.8622 0.0322 0.5000
0.8876 0.4536 0.5000
0.9753 0.3088 0.5000
```

Crystal system: orthorhombic
Calculated density: 7.67 Mg/m³
Calculated total energy: -7.4113 eV/atom
Space group: Pbam

=====

Density functional theory data (PBE) for an optimized crystal structure of TmZr3.

POSCAR file:
```
TmZr3
1.0
6.6334 0.0000 0.0000
-3.3167 5.7447 0.0000
0.0000 0.0000 5.2079
Tm Zr
2 6
direct
0.3333 0.6667 0.2500
0.6667 0.3333 0.7500
0.1624 0.3249 0.7500
0.1624 0.8376 0.7500
0.3249 0.1624 0.2500
0.6751 0.8376 0.7500
0.8376 0.1624 0.2500
0.8376 0.6751 0.2500
```

Crystal system: hexagonal
Calculated density: 7.41 Mg/m³
Calculated total energy: -7.5125 eV/atom
Space group: P6_3/mmc